Run A
# Na3CaFe4Si8O24

Crystalline Na3CaFe4Si8O24 at its relaxed geometry (PBE with a Hubbard U, Materials Project).

M_tot = 57.00 μB per cell
Volume = 1354.33 Å³/cell

a = 7.5895 Å, b = 9.4002 Å, c = 19.9553 Å
α = 101.06°, β = 93.84°, γ = 102.67°
Closest atoms and distances in Å follow each position.
Positions (direct):
Na 0.0000 0.0000 0.0000  6 O 2.40-2.52
Na 0.0010 0.9996 0.6662  6 O 2.38-2.53
Na 0.0482 0.4439 0.1320  6 O 2.41-2.53
Na 0.0538 0.4488 0.7999  6 O 2.41-2.52
Na 0.4978 0.4964 0.6671  6 O 2.41-2.51
Na 0.4995 0.4960 0.0002  6 O 2.41-2.53
Na 0.5008 0.5004 0.3331  6 O 2.39-2.51
Na 0.5483 0.9439 0.4662  6 O 2.40-2.52
Na 0.9989 0.9953 0.3338  6 O 2.41-2.53
Ca 0.0563 0.4524 0.4661  6 O 2.32-2.51
Ca 0.5458 0.9419 0.7985  6 O 2.31-2.51
Ca 0.5562 0.9514 0.1332  6 O 2.32-2.50
Fe 0.1953 0.7941 0.8680  6 O 2.02-2.21
Fe 0.1965 0.7937 0.2013  6 O 1.95-2.13
Fe 0.2009 0.8039 0.5335  6 O 2.02-2.19
Fe 0.3478 0.1437 0.5997  6 O 1.97-2.17
Fe 0.3484 0.1468 0.9339  5 O 1.96-2.14
Fe 0.3507 0.1499 0.2669  5 O 1.96-2.14
Fe 0.6972 0.2946 0.5343  6 O 1.95-2.13
Fe 0.7020 0.3022 0.8667  6 O 1.97-2.12
Fe 0.7018 0.3041 0.1994  6 O 2.03-2.23
Fe 0.8479 0.6441 0.2668  6 O 1.97-2.17
Fe 0.8505 0.6507 0.6001  5 O 1.96-2.14
Fe 0.8524 0.6498 0.9327  6 O 1.98-2.17
Si 0.0829 0.3985 0.6331  4 O 1.61-1.66
Si 0.0827 0.3986 0.9659  4 O 1.62-1.67
Si 0.0831 0.4018 0.2986  4 O 1.62-1.68
Si 0.2391 0.7380 0.0264  4 O 1.63-1.69
Si 0.2396 0.7389 0.6911  4 O 1.61-1.69
Si 0.2412 0.7403 0.3597  4 O 1.59-1.68
Si 0.3081 0.2053 0.1070  4 O 1.62-1.67
Si 0.3089 0.2019 0.4396  4 O 1.61-1.68
Si 0.3086 0.2061 0.7728  4 O 1.61-1.67
Si 0.4684 0.5469 0.1674  4 O 1.62-1.68
Si 0.4692 0.5452 0.8339  4 O 1.60-1.68
Si 0.4723 0.5436 0.5002  4 O 1.60-1.69
Si 0.5830 0.8982 0.2997  4 O 1.61-1.67
Si 0.5826 0.9014 0.9655  4 O 1.62-1.68
Si 0.5834 0.9020 0.6317  4 O 1.62-1.69
Si 0.7397 0.2381 0.3589  4 O 1.63-1.68
Si 0.7414 0.2405 0.0255  4 O 1.59-1.68
Si 0.7408 0.2398 0.6933  4 O 1.62-1.67
Si 0.8079 0.7010 0.7731  4 O 1.62-1.68
Si 0.8079 0.7054 0.4404  4 O 1.62-1.67
Si 0.8088 0.7014 0.1060  4 O 1.61-1.68
Si 0.9681 0.0471 0.5008  4 O 1.62-1.68
Si 0.9712 0.0456 0.8332  4 O 1.63-1.68
Si 0.9724 0.0433 0.1668  4 O 1.60-1.69
O 0.0910 0.1474 0.1194  2 Si 1.66-1.67
O 0.0910 0.1537 0.4541  2 Si 1.68
O 0.0923 0.1489 0.7863  2 Si 1.65-1.67
O 0.1041 0.7758 0.9692  1 Si 1.63
O 0.1062 0.0101 0.5572  1 Si 1.62
O 0.1060 0.7731 0.6316  1 Si 1.63
O 0.1081 0.0059 0.8896  1 Si 1.63
O 0.1112 0.7722 0.2968  1 Si 1.66
O 0.1129 0.9986 0.2215  1 Si 1.65
O 0.1979 0.5555 0.3554  2 Si 1.68
O 0.1979 0.5560 0.6856  2 Si 1.66
O 0.1991 0.5551 0.0195  2 Si 1.66-1.67
O 0.2294 0.8246 0.4356  1 Si 1.59
O 0.2349 0.3174 0.2689  1 Si 1.62
O 0.2355 0.3174 0.6023  1 Si 1.61
O 0.2358 0.3173 0.9351  1 Si 1.62
O 0.2410 0.8201 0.1061  1 Si 1.63
O 0.2409 0.8270 0.7685  1 Si 1.61
O 0.3136 0.6152 0.5299  1 Si 1.60
O 0.3142 0.6284 0.1972  1 Si 1.62
O 0.3180 0.1209 0.3615  1 Si 1.61
O 0.3191 0.6240 0.8665  1 Si 1.60
O 0.3203 0.1237 0.6951  1 Si 1.61
O 0.3207 0.1243 0.0284  1 Si 1.62
O 0.3531 0.3856 0.4462  2 Si 1.66-1.69
O 0.3531 0.3888 0.1145  2 Si 1.66-1.67
O 0.3546 0.3884 0.7799  2 Si 1.65-1.67
O 0.4301 0.1593 0.1665  1 Si 1.64
O 0.4395 0.1701 0.5014  1 Si 1.64
O 0.4405 0.1678 0.8332  1 Si 1.66
O 0.4447 0.9428 0.2434  1 Si 1.66
O 0.4517 0.9541 0.5789  1 Si 1.62
O 0.4545 0.9525 0.9102  1 Si 1.63
O 0.4571 0.8008 0.0135  2 Si 1.67-1.69
O 0.4577 0.7945 0.3449  2 Si 1.65-1.67
O 0.4595 0.7965 0.6780  2 Si 1.67-1.69
O 0.5887 0.6527 0.7867  2 Si 1.68
O 0.5906 0.6479 0.4529  2 Si 1.66-1.67
O 0.5908 0.6537 0.1206  2 Si 1.68
O 0.6067 0.2743 0.3002  1 Si 1.63
O 0.6067 0.5097 0.2238  1 Si 1.63
O 0.6115 0.2739 0.6314  1 Si 1.65
O 0.6115 0.2712 0.9622  1 Si 1.66
O 0.6116 0.4999 0.8879  1 Si 1.65
O 0.6130 0.4985 0.5548  1 Si 1.65
O 0.6961 0.0558 0.0218  2 Si 1.68
O 0.6972 0.0561 0.6893  2 Si 1.67-1.69
O 0.6982 0.0556 0.3530  2 Si 1.65-1.67
O 0.7292 0.3256 0.1013  1 Si 1.59
O 0.7297 0.3215 0.7714  1 Si 1.62
O 0.7349 0.8188 0.9352  1 Si 1.62
O 0.7364 0.8184 0.2686  1 Si 1.61
O 0.7363 0.8193 0.6018  1 Si 1.62
O 0.7400 0.3207 0.4387  1 Si 1.63
O 0.8101 0.1237 0.8604  1 Si 1.63
O 0.8137 0.1153 0.1964  1 Si 1.60
O 0.8137 0.1288 0.5307  1 Si 1.62
O 0.8163 0.6204 0.0277  1 Si 1.61
O 0.8173 0.6220 0.6945  1 Si 1.62
O 0.8205 0.6243 0.3621  1 Si 1.62
O 0.8505 0.8868 0.7807  2 Si 1.68
O 0.8532 0.8854 0.1127  2 Si 1.67-1.69
O 0.8532 0.8891 0.4480  2 Si 1.66-1.67
O 0.9280 0.6621 0.8346  1 Si 1.62
O 0.9293 0.6590 0.4999  1 Si 1.64
O 0.9389 0.6696 0.1678  1 Si 1.64
O 0.9420 0.4433 0.9113  1 Si 1.65
O 0.9444 0.4416 0.5763  1 Si 1.66
O 0.9512 0.4528 0.2454  1 Si 1.62
O 0.9567 0.2966 0.6795  2 Si 1.66-1.67
O 0.9582 0.2922 0.0107  2 Si 1.65-1.67
O 0.9583 0.2992 0.3465  2 Si 1.68

Run B
# Na3CaFe4Si8O24

Crystalline Na3CaFe4Si8O24 at its relaxed geometry (PBE with a Hubbard U, Materials Project).

M_tot = 19.00 μB per cell
Volume = 450.87 Å³/cell

a = 7.5768 Å, b = 7.5768 Å, c = 9.8484 Å
α = 116.21°, β = 116.21°, γ = 72.26°
Closest atoms and distances in Å follow each position.
Positions (direct):
Na 0.0000 0.0000 0.0000  6 O 2.41-2.53
Na 0.3487 0.1534 0.7519  6 O 2.41-2.52
Na 0.8466 0.6513 0.2481  6 O 2.41-2.52
Ca 0.4989 0.5011 0.5000  6 O 2.37-2.49
Fe 0.3999 0.6001 0.0000  6 O 1.98-2.13
Fe 0.4468 0.0460 0.2440  6 O 1.98-2.17
Fe 0.9008 0.0992 0.5000  6 O 1.97-2.16
Fe 0.9540 0.5532 0.7560  6 O 1.98-2.17
Si 0.1284 0.3535 0.4537  4 O 1.62-1.69
Si 0.1469 0.3684 0.0470  4 O 1.60-1.68
Si 0.2020 0.7862 0.7060  4 O 1.61-1.68
Si 0.2138 0.7980 0.2940  4 O 1.61-1.68
Si 0.6316 0.8531 0.9530  4 O 1.60-1.68
Si 0.6465 0.8716 0.5463  4 O 1.62-1.69
Si 0.7024 0.2842 0.2025  4 O 1.61-1.67
Si 0.7158 0.2976 0.7975  4 O 1.61-1.67
O 0.0177 0.9273 0.3334  1 Si 1.61
O 0.0711 0.3141 0.5793  1 Si 1.64
O 0.0727 0.9823 0.6666  1 Si 1.61
O 0.1689 0.7294 0.8335  1 Si 1.63
O 0.1711 0.5910 0.5322  2 Si 1.67-1.69
O 0.1832 0.5596 0.2249  2 Si 1.68
O 0.1887 0.4274 0.9233  1 Si 1.64
O 0.2706 0.8311 0.1665  1 Si 1.63
O 0.2740 0.1704 0.0809  1 Si 1.60
O 0.3317 0.2341 0.4220  1 Si 1.62
O 0.4090 0.8289 0.4678  2 Si 1.67-1.69
O 0.4404 0.8168 0.7751  2 Si 1.68
O 0.5172 0.4269 0.8324  1 Si 1.61
O 0.5731 0.4828 0.1676  1 Si 1.61
O 0.5726 0.8113 0.0767  1 Si 1.64
O 0.6653 0.2351 0.3348  1 Si 1.65
O 0.6665 0.0905 0.0311  2 Si 1.65-1.67
O 0.6785 0.0612 0.7207  2 Si 1.65-1.67
O 0.6859 0.9289 0.4207  1 Si 1.64
O 0.7649 0.3347 0.6652  1 Si 1.65
O 0.7659 0.6683 0.5780  1 Si 1.62
O 0.8296 0.7260 0.9191  1 Si 1.60
O 0.9095 0.3335 0.9689  2 Si 1.65-1.67
O 0.9388 0.3215 0.2793  2 Si 1.65-1.67

run A is favored, and the nearest alternative lies 0.6 kJ/mol of atoms above it.

Run A
# Na3CaFe4Si8O24

Crystalline Na3CaFe4Si8O24 at its relaxed geometry (PBE with a Hubbard U, Materials Project).

M_tot = 19.00 μB per cell
Volume = 516.60 Å³/cell

a = 7.5020 Å, b = 7.5105 Å, c = 10.5292 Å
α = 104.28°, β = 106.48°, γ = 104.75°
Closest atoms and distances in Å follow each position.
Positions (direct):
Na 0.0000 0.0000 0.0000  5 O 2.32-2.60
Na 0.1743 0.4262 0.7548  6 O 2.37-2.61
Na 0.6729 0.4341 0.2473  5 O 2.34-2.62
Ca 0.4768 0.9933 0.4995  3 O 2.25-2.41
Fe 0.0608 0.8178 0.2426  4 O 2.02-2.16
Fe 0.1035 0.6123 0.4994  4 O 1.96-2.04
Fe 0.5507 0.8063 0.7571  5 O 1.96-2.15
Fe 0.6182 0.6217 0.0033  4 O 1.97-2.05
Si 0.1689 0.9158 0.7261  4 O 1.63-1.68
Si 0.1866 0.4552 0.2766  4 O 1.64-1.70
Si 0.4755 0.9742 0.9767  4 O 1.64-1.69
Si 0.4891 0.5144 0.5260  4 O 1.65-1.71
Si 0.6772 0.9210 0.2225  4 O 1.63-1.70
Si 0.6883 0.4572 0.7765  4 O 1.63-1.69
Si 0.9808 0.9688 0.4762  4 O 1.63-1.71
Si 0.9912 0.5075 0.0230  4 O 1.61-1.70
O 0.0094 0.3769 0.3328  1 Si 1.64
O 0.0402 0.6824 0.6711  1 Si 1.63
O 0.0447 0.0454 0.6526  2 Si 1.68
O 0.1149 0.3787 0.1015  2 Si 1.67-1.70
O 0.1280 0.7340 0.0693  1 Si 1.61
O 0.1679 0.0528 0.4319  1 Si 1.63
O 0.2571 0.6947 0.3548  1 Si 1.65
O 0.2701 0.0214 0.9013  2 Si 1.67-1.69
O 0.3222 0.5236 0.5991  1 Si 1.65
O 0.3416 0.9092 0.6559  1 Si 1.67
O 0.3910 0.4035 0.3512  2 Si 1.67-1.70
O 0.4204 0.7345 0.9040  1 Si 1.66
O 0.5085 0.3819 0.8299  1 Si 1.63
O 0.5439 0.6883 0.1697  1 Si 1.64
O 0.5461 0.0503 0.1524  2 Si 1.67-1.70
O 0.6135 0.3807 0.5985  2 Si 1.69-1.71
O 0.6187 0.7502 0.5818  1 Si 1.65
O 0.6483 0.0518 0.9165  1 Si 1.64
O 0.7508 0.6973 0.8442  1 Si 1.65
O 0.7755 0.0214 0.4004  2 Si 1.69-1.71
O 0.8176 0.5149 0.0893  1 Si 1.65
O 0.8374 0.9144 0.1453  1 Si 1.63
O 0.8870 0.3979 0.8454  2 Si 1.68-1.69
O 0.9163 0.7299 0.4101  1 Si 1.64

Run B
# Na3CaFe4Si8O24

Crystalline Na3CaFe4Si8O24 at its relaxed geometry (PBE with a Hubbard U, Materials Project).

M_tot = 19.00 μB per cell
Volume = 516.54 Å³/cell

a = 7.7326 Å, b = 7.7326 Å, c = 10.8916 Å
α = 116.67°, β = 116.67°, γ = 72.89°
Closest atoms and distances in Å follow each position.
Positions (direct):
Na 0.0000 0.0000 0.0000  4 O 2.32-2.52
Na 0.1839 0.3435 0.7556  3 O 2.33-2.48
Na 0.6565 0.8161 0.2444  3 O 2.33-2.48
Ca 0.4719 0.5281 0.5000  4 O 2.28-2.42
Fe 0.0489 0.4449 0.2427  5 O 2.00-2.24
Fe 0.0908 0.9092 0.5000  4 O 1.96-2.01
Fe 0.5551 0.9511 0.7573  5 O 2.00-2.24
Fe 0.6184 0.3816 0.0000  4 O 1.99-2.01
Si 0.1532 0.8160 0.2528  4 O 1.63-1.69
Si 0.1840 0.8468 0.7472  4 O 1.63-1.69
Si 0.4570 0.0023 0.5021  4 O 1.64-1.70
Si 0.4902 0.0361 0.9990  4 O 1.63-1.69
Si 0.6759 0.2931 0.7538  4 O 1.64-1.69
Si 0.7069 0.3241 0.2462  4 O 1.64-1.69
Si 0.9639 0.5098 0.0010  4 O 1.63-1.69
Si 0.9977 0.5430 0.4979  4 O 1.64-1.70
O 0.0439 0.0171 0.6851  1 Si 1.63
O 0.0665 0.6525 0.6820  2 Si 1.68-1.69
O 0.0785 0.7077 0.0690  2 Si 1.67-1.69
O 0.1134 0.3429 0.0621  1 Si 1.63
O 0.1765 0.4098 0.4415  1 Si 1.65
O 0.2298 0.6609 0.3384  1 Si 1.66
O 0.2923 0.9215 0.9310  2 Si 1.67-1.69
O 0.2992 0.0814 0.5833  1 Si 1.64
O 0.3391 0.7702 0.6616  1 Si 1.66
O 0.3475 0.9335 0.3180  2 Si 1.68-1.69
O 0.4271 0.1919 0.9164  1 Si 1.65
O 0.5028 0.4325 0.8136  1 Si 1.64
O 0.5675 0.4972 0.1864  1 Si 1.64
O 0.5726 0.1443 0.1845  2 Si 1.68-1.69
O 0.5902 0.8235 0.5585  1 Si 1.65
O 0.5911 0.1860 0.5679  2 Si 1.68-1.70
O 0.6571 0.8866 0.9379  1 Si 1.63
O 0.7519 0.1394 0.8389  1 Si 1.64
O 0.8081 0.5729 0.0836  1 Si 1.65
O 0.8140 0.4089 0.4321  2 Si 1.68-1.70
O 0.8557 0.4274 0.8155  2 Si 1.68-1.69
O 0.8606 0.2481 0.1611  1 Si 1.64
O 0.9186 0.7008 0.4167  1 Si 1.64
O 0.9829 0.9561 0.3149  1 Si 1.63

run A is favored, and the nearest alternative lies 2.0 kJ/mol of atoms above it.